1.
TiAl2Br8 | PBE | optimized geometry

Computed properties:
The value obtained for the raw total energy is -80.67 eV/cell. For the formation energy, the calculation gives -1.47 eV/atom. For the polymorph energy (0 for the lowest one), the calculation gives 0.33 eV/f.u.

Geometry as POSCAR:
```
TiAl2Br8
1.0
6.403 0.000 0.000
0.000 10.469 0.000
0.000 0.000 13.513
Ti Al Br
2 4 16
Direct
0.000 0.500 0.000
0.500 0.000 0.500
0.610 0.500 0.178
0.390 0.500 0.822
0.890 0.000 0.678
0.110 0.000 0.322
0.260 0.000 0.667
0.754 0.674 0.090
0.696 0.500 0.340
0.246 0.326 0.910
0.804 0.000 0.840
0.754 0.326 0.090
0.196 0.000 0.160
0.240 0.500 0.167
0.746 0.826 0.590
0.254 0.826 0.410
0.246 0.674 0.910
0.740 0.000 0.333
0.304 0.500 0.660
0.760 0.500 0.833
0.254 0.174 0.410
0.746 0.174 0.590
```


2.
AlTlBr4 | PBE | optimized geometry

Computed properties:
The value obtained for the raw total energy is -77.27 eV/cell. For the formation energy, the calculation gives -1.47 eV/atom.

Geometry as POSCAR:
```
AlTlBr4
1.0
-5.882 2.804 -3.977
4.813 -1.095 -7.890
-3.021 -12.330 -4.224
Al Tl Br
4 4 16
Direct
0.784 0.715 0.546
0.216 0.285 0.454
0.784 0.285 0.954
0.216 0.715 0.046
0.099 0.000 0.250
0.370 0.500 0.750
0.630 0.500 0.250
0.901 0.000 0.750
0.579 0.166 0.874
0.266 0.539 0.401
0.937 0.782 0.089
0.063 0.782 0.589
0.266 0.461 0.099
0.421 0.834 0.126
0.579 0.834 0.626
0.250 0.204 0.634
0.063 0.218 0.911
0.750 0.204 0.134
0.421 0.166 0.374
0.750 0.796 0.366
0.734 0.539 0.901
0.250 0.796 0.866
0.937 0.218 0.411
0.734 0.461 0.599
```